Record 1
First-principles (PBE) data for a relaxed structure of Li2UN2, as listed in the Materials Project database.

Spin magnetization   6.00 Bohr magnetons per cell
Calculated total energy   -7.2794 eV/atom
Symmetry   P-3
Crystal system   trigonal
Formation enthalpy at 0 K   -515 kJ/mol of formula units

Cell: 6.043 6.043 5.539 Å, 90.00 90.00 120.00°
Positions (direct):
Li 0.016 0.342 0.394
Li 0.326 0.984 0.394
Li 0.342 0.326 0.606
Li 0.658 0.674 0.394
Li 0.674 0.016 0.606
Li 0.984 0.658 0.606
U 0.000 0.000 0.000
U 0.333 0.667 0.993
U 0.667 0.333 0.007
N 0.000 0.334 0.775
N 0.000 0.666 0.225
N 0.334 0.000 0.775
N 0.334 0.334 0.225
N 0.666 0.000 0.225
N 0.666 0.666 0.775

---

Record 2
First-principles (PBE) data for a relaxed structure of NpN, as listed in the Materials Project database.

Spin magnetization   15.93 Bohr magnetons per cell
Calculated total energy   -11.5268 eV/atom
Symmetry   F-43m
Crystal system   cubic
Formation enthalpy at 0 K   -206 kJ/mol of formula units

Cell: 5.250 5.250 5.250 Å, 90.00 90.00 90.00°
Positions (direct):
Np 0.000 0.000 0.000
Np 0.000 0.500 0.500
Np 0.500 0.000 0.500
Np 0.500 0.500 0.000
N 0.250 0.250 0.750
N 0.250 0.750 0.250
N 0.750 0.250 0.250
N 0.750 0.750 0.750